Compound: Nd3Y
Source: the Materials Project database
Functional: meta-GGA r2SCAN
Structure: optimized geometry

Summary:
ΔH_f (0 K)	0.0287	eV/atom

The structure in POSCAR format:
```
Nd3Y
1.0
7.463 0.000 0.000
-3.731 6.463 0.000
0.000 0.000 5.905
Nd Y
6 2
Direct
0.168 0.335 0.250
0.168 0.832 0.250
0.335 0.168 0.750
0.665 0.832 0.250
0.832 0.168 0.750
0.832 0.665 0.750
0.333 0.667 0.750
0.667 0.333 0.250
```